Entry 1:
BaLaMgNbO6: relaxed, PBE.

Unit cell a=5.7551 b=5.7551 c=5.7551 alpha=60.00 beta=60.00 gamma=60.00
Element x y z (fractional)
Ba 0.7500 0.7500 0.7500
O 0.7466 0.2534 0.7466
O 0.7466 0.2534 0.2534
O 0.7466 0.7466 0.2534
O 0.2534 0.7466 0.7466
Mg 0.0000 0.0000 0.0000
La 0.2500 0.2500 0.2500
O 0.2534 0.7466 0.2534
Nb 0.5000 0.5000 0.5000
O 0.2534 0.2534 0.7466

Results
* final energy: -77.28 eV per formula unit
* maximum piezoelectric response: 0.29 C/m²
* energy with MP2020 corrections: -81.4 eV/cell
* DFT formation energy: -3.3161 eV/atom

***

Entry 2:
CaCl2: relaxed, PBE.

Unit cell a=6.3402 b=6.9780 c=7.7140 alpha=90.00 beta=90.00 gamma=90.00
Element x y z (fractional)
Ca 0.0000 0.7500 0.1531
Cl 0.2634 0.9219 0.3914
Ca 0.0000 0.2500 0.8469
Cl 0.2366 0.9219 0.8914
Cl 0.2366 0.4219 0.1086
Cl 0.7634 0.0781 0.1086
Ca 0.5000 0.7500 0.6531
Cl 0.7366 0.5781 0.3914
Ca 0.5000 0.2500 0.3469
Cl 0.7366 0.0781 0.6086
Cl 0.7634 0.5781 0.8914
Cl 0.2634 0.4219 0.6086

Results
* final energy: -12.88 eV per formula unit
* energy with MP2020 corrections: -56.4 eV/cell
* DFT formation energy: -2.8024 eV/atom

***

How do the records compare in theoretical density? In the order shown, they have 6.03 2.16 g/cm³.